1.
VASP calculation (r²SCAN) on crystalline UNiSb2 at its relaxed geometry.

Unit cell a=4.387 b=4.387 c=9.294 alpha=90.00 beta=90.00 gamma=90.00
Positions (direct):
U  0.250  0.250  0.233
U  0.750  0.750  0.767
Ni  0.250  0.750  0.000
Ni  0.750  0.250  0.000
Sb  0.250  0.250  0.856
Sb  0.250  0.750  0.500
Sb  0.750  0.250  0.500
Sb  0.750  0.750  0.144

Summary:
DFT total energy, eV/atom: -36.36
SG: P4/nmm, No. 129

2.
VASP calculation (r²SCAN) on crystalline Mg2SiSe4 at its relaxed geometry.

Unit cell a=13.394 b=7.833 c=6.256 alpha=90.00 beta=90.00 gamma=90.00
Positions (direct):
Mg  0.000  0.000  0.000
Mg  0.000  0.500  0.000
Mg  0.231  0.250  0.496
Mg  0.269  0.750  0.996
Mg  0.500  0.000  0.500
Mg  0.500  0.500  0.500
Mg  0.731  0.250  0.004
Mg  0.769  0.750  0.504
Si  0.089  0.750  0.406
Si  0.411  0.250  0.906
Si  0.589  0.750  0.094
Si  0.911  0.250  0.594
Se  0.067  0.250  0.743
Se  0.092  0.750  0.766
Se  0.168  0.521  0.251
Se  0.168  0.979  0.251
Se  0.332  0.021  0.751
Se  0.332  0.479  0.751
Se  0.408  0.250  0.266
Se  0.433  0.750  0.243
Se  0.567  0.250  0.757
Se  0.592  0.750  0.734
Se  0.668  0.521  0.249
Se  0.668  0.979  0.249
Se  0.832  0.021  0.749
Se  0.832  0.479  0.749
Se  0.908  0.250  0.234
Se  0.933  0.750  0.257

Summary:
DFT total energy, eV/atom: -11.71
SG: Pnma, No. 62

> The lowest DFT total energy belongs to which entry?

UNiSb2

> What is the DFT total energy in the second record?

-11.71 eV/atom

> Which of these has the lowest DFT total energy?

UNiSb2